The following is a PBE with a Hubbard U calculation of an optimized crystal structure of YMn4Cu3O12, from the Materials Project database.

a b c (Å): 6.4182 10.4732 6.4232
angles (deg): 90.85 109.76 89.12
Sites, in units of the cell vectors:
Y  0.4994  0.4991  0.5006
Y  0.0007  0.0012  0.9994
Mn  0.0009  0.9998  0.5011
Mn  0.4995  0.5000  0.9991
Mn  0.7524  0.2490  0.7480
Mn  0.2474  0.7508  0.2517
Mn  0.4990  0.9998  0.9994
Mn  0.0014  0.4999  0.5006
Mn  0.2519  0.2491  0.2477
Mn  0.7482  0.7508  0.7525
Cu  0.4997  0.9999  0.4997
Cu  0.2517  0.2495  0.7483
Cu  0.7480  0.7505  0.2518
Cu  0.7512  0.2504  0.2489
Cu  0.2489  0.7496  0.7516
Cu  0.0002  0.5000  0.9995
O  0.2366  0.0611  0.7635
O  0.7365  0.5665  0.2635
O  0.2668  0.4377  0.7333
O  0.7599  0.9348  0.2402
O  0.4404  0.2648  0.5597
O  0.9318  0.7623  0.0682
O  0.3818  0.0842  0.2098
O  0.8845  0.5856  0.7193
O  0.0186  0.1521  0.3235
O  0.5176  0.6530  0.8234
O  0.6764  0.1521  0.9812
O  0.1766  0.6530  0.4825
O  0.7903  0.0842  0.6183
O  0.2805  0.5856  0.1154
O  0.4831  0.3484  0.1745
O  0.9805  0.8465  0.6783
O  0.0634  0.2357  0.9367
O  0.5643  0.7372  0.4357
O  0.1158  0.4144  0.2802
O  0.6182  0.9160  0.7908
O  0.8253  0.3484  0.5167
O  0.3217  0.8465  0.0195
O  0.7196  0.4143  0.8841
O  0.2093  0.9159  0.3819

Output
Calculated formation energy, eV per formula unit: -36.83
Energy with MP2020 corrections, eV/atom: -7.581
Raw total energy, hartree per atom: -0.2512
Space-group type: Cm
Total moment, μB/f.u.: 13.97